No. 1
The following is a DFT calculation (GGA-PBE) of an optimized crystal structure of TmAl10Re2.

* calculated total energy: -5.487 eV per atom
* ρ: 6.24 g/cm3
* total magnetic moment: 0.11 μB/cell
* calculated formation energy: -4.5 eV/f.u.

Cell lengths 9.3051, 10.3263, 26.9374 Å; angles 90.00, 90.00, 90.00 degrees
Space group Cmcm (No. 63)
One atom of each set of equivalent atoms:
Tm 0.0000 0.1170 0.2500 (multiplicity 4)
Tm 0.0000 0.3760 0.0847 (multiplicity 8)
Al 0.0000 0.0976 0.1339 (multiplicity 8)
Al 0.0000 0.1228 0.0220 (multiplicity 8)
Al 0.0000 0.1299 0.6775 (multiplicity 8)
Al 0.0000 0.3354 0.5340 (multiplicity 8)
Al 0.0000 0.3755 0.6459 (multiplicity 8)
Al 0.0000 0.4062 0.1996 (multiplicity 8)
Al 0.1496 0.3889 0.7500 (multiplicity 8)
Al 0.1509 0.1219 0.5807 (multiplicity 16)
Al 0.2058 0.5000 0.0000 (multiplicity 8)
Al 0.2071 0.1109 0.7500 (multiplicity 8)
Al 0.2212 0.2471 0.1715 (multiplicity 16)
Al 0.2479 0.1281 0.0830 (multiplicity 16)
Re 0.2481 0.0032 0.6631 (multiplicity 16)
Re 0.2500 0.2500 0.0000 (multiplicity 8)

No. 2
The following is a DFT calculation (GGA-PBE) of an optimized crystal structure of YAl10Re2.

* calculated total energy: -5.649 eV per atom
* ρ: 5.60 g/cm3
* total magnetic moment: 0.00 μB/cell
* calculated formation energy: -4.6 eV/f.u.

Cell lengths 9.3165, 10.3479, 26.9994 Å; angles 90.00, 90.00, 90.00 degrees
Space group Cmcm (No. 63)
One atom of each set of equivalent atoms:
Y 0.0000 0.1187 0.2500 (multiplicity 4)
Y 0.0000 0.3759 0.0847 (multiplicity 8)
Al 0.0000 0.0955 0.1331 (multiplicity 8)
Al 0.0000 0.1223 0.0219 (multiplicity 8)
Al 0.0000 0.1301 0.6775 (multiplicity 8)
Al 0.0000 0.3346 0.5342 (multiplicity 8)
Al 0.0000 0.3750 0.6459 (multiplicity 8)
Al 0.0000 0.4076 0.2000 (multiplicity 8)
Al 0.1492 0.3891 0.7500 (multiplicity 8)
Al 0.1502 0.1217 0.5807 (multiplicity 16)
Al 0.2072 0.5000 0.0000 (multiplicity 8)
Al 0.2085 0.1116 0.7500 (multiplicity 8)
Al 0.2223 0.2472 0.1711 (multiplicity 16)
Al 0.2485 0.1278 0.0830 (multiplicity 16)
Re 0.2478 0.0028 0.6632 (multiplicity 16)
Re 0.2500 0.2500 0.0000 (multiplicity 8)

No. 3
The following is a DFT calculation (GGA-PBE) of an optimized crystal structure of Al9Rh2.

* calculated total energy: -4.906 eV per atom
* ρ: 4.15 g/cm3
* calculated formation energy: -5.5 eV/f.u.

Cell lengths 6.3695, 6.4547, 8.7659 Å; angles 90.00, 94.95, 90.00 degrees
Space group P2_1/c (No. 14)
One atom of each set of equivalent atoms:
Al 0.0000 0.0000 0.0000 (multiplicity 2)
Al 0.0964 0.2133 0.7272 (multiplicity 4)
Al 0.2122 0.6057 0.0400 (multiplicity 4)
Al 0.3882 0.1963 0.9972 (multiplicity 4)
Al 0.4001 0.5213 0.7693 (multiplicity 4)
Rh 0.2642 0.6229 0.3317 (multiplicity 4)

No. 4
The following is a DFT calculation (GGA-PBE) of an optimized crystal structure of Al2RuRh.

* calculated total energy: -6.959 eV per atom
* ρ: 7.91 g/cm3
* calculated formation energy: -3.7 eV/f.u.

Cell lengths 6.0066, 6.0066, 6.0066 Å; angles 90.00, 90.00, 90.00 degrees
Space group Fm-3m (No. 225)
One atom of each set of equivalent atoms:
Al 0.2500 0.2500 0.2500 (multiplicity 8)
Ru 0.0000 0.0000 0.0000 (multiplicity 4)
Rh 0.0000 0.0000 0.5000 (multiplicity 4)

No. 5
The following is a DFT calculation (GGA-PBE) of an optimized crystal structure of Sm2Al9Rh3.

* calculated total energy: -5.486 eV per atom
* ρ: 5.89 g/cm3
* calculated formation energy: -11.6 eV/f.u.

Cell lengths 13.1080, 7.6667, 9.5582 Å; angles 90.00, 90.00, 90.00 degrees
Space group Cmcm (No. 63)
One atom of each set of equivalent atoms:
Sm 0.1624 0.1678 0.2500 (multiplicity 8)
Al 0.0000 0.1288 0.7500 (multiplicity 4)
Al 0.0000 0.3341 0.0491 (multiplicity 8)
Al 0.1042 0.4426 0.7500 (multiplicity 8)
Al 0.1662 0.1689 0.5730 (multiplicity 16)
Rh 0.0000 0.0000 0.0000 (multiplicity 4)
Rh 0.1714 0.5000 0.0000 (multiplicity 8)

No. 6
The following is a DFT calculation (GGA-PBE) of an optimized crystal structure of Tb2Al9Rh3.

* calculated total energy: -5.481 eV per atom
* ρ: 6.10 g/cm3
* calculated formation energy: -11.7 eV/f.u.

Cell lengths 13.0537, 7.6315, 9.4974 Å; angles 90.00, 90.00, 90.00 degrees
Space group Cmcm (No. 63)
One atom of each set of equivalent atoms:
Tb 0.1622 0.1676 0.2500 (multiplicity 8)
Al 0.0000 0.1278 0.7500 (multiplicity 4)
Al 0.0000 0.3333 0.0502 (multiplicity 8)
Al 0.1047 0.4434 0.7500 (multiplicity 8)
Al 0.1668 0.1683 0.5739 (multiplicity 16)
Rh 0.0000 0.0000 0.0000 (multiplicity 4)
Rh 0.1719 0.5000 0.0000 (multiplicity 8)

No. 7
The following is a DFT calculation (GGA-PBE) of an optimized crystal structure of Ti6Al16Rh7.

* calculated total energy: -6.217 eV per atom
* ρ: 5.36 g/cm3
* total magnetic moment: 4.20 μB/cell
* calculated formation energy: -21.4 eV/f.u.

Cell lengths 12.1271, 12.1271, 12.1271 Å; angles 90.00, 90.00, 90.00 degrees
Space group Fm-3m (No. 225)
One atom of each set of equivalent atoms:
Ti 0.0000 0.0000 0.1780 (multiplicity 24)
Al 0.1202 0.1202 0.3798 (multiplicity 32)
Al 0.1577 0.1577 0.1577 (multiplicity 32)
Rh 0.0000 0.0000 0.5000 (multiplicity 4)
Rh 0.0000 0.2500 0.2500 (multiplicity 24)

No. 8
The following is a DFT calculation (GGA-PBE) of an optimized crystal structure of TmAlRh.

* calculated total energy: -6.145 eV per atom
* ρ: 8.81 g/cm3
* calculated formation energy: -2.8 eV/f.u.

Cell lengths 6.8130, 4.1606, 7.9502 Å; angles 90.00, 90.00, 90.00 degrees
Space group Pnma (No. 62)
One atom of each set of equivalent atoms:
Tm 0.0359 0.2500 0.1785 (multiplicity 4)
Al 0.1367 0.2500 0.5588 (multiplicity 4)
Rh 0.2362 0.7500 0.3761 (multiplicity 4)